Entry from Materials Project: an optimized crystal structure of PrUN2 (meta-GGA r2SCAN).

a b c (Å): 3.5449 3.5449 17.5682
angles (deg): 90.00 90.00 120.00
Space group R-3m (No. 166, hexagonal axes)
Unique sites:
Pr  0.0000  0.0000  0.0000 x3
U  0.0000  0.0000  0.5000 x3
N  0.0000  0.0000  0.2340 x6

Results
Its theoretical density is 10.6 g/cm3. For the magnetic moment, the calculation gives 1.30 μB per formula unit. As for the formation enthalpy at 0 K: -1621 meV per atom.